## MgTi3 (GGA-PBE)

Data for an optimized crystal structure of MgTi3.

Properties
Calculated total energy   -6.181 eV/atom
Energy of formation from the pure elements   54 kJ/mol of formula units
SG   Pmm2

Structure (CIF):
```
data_MgTi3
_chemical_formula_sum 'Mg1 Ti3'
_cell_length_a 2.857
_cell_length_b 4.859
_cell_length_c 5.280
_cell_angle_alpha 90.00
_cell_angle_beta 90.00
_cell_angle_gamma 90.00
_symmetry_space_group_name_H-M 'P 1'
_symmetry_Int_Tables_number 1
loop_
_symmetry_equiv_pos_as_xyz
'x,y,z'
loop_
_atom_site_label
_atom_site_type_symbol
_atom_site_fract_x
_atom_site_fract_y
_atom_site_fract_z
Ti1 Ti 0.000 0.000 0.984
Mg1 Mg 0.000 0.500 0.323
Ti2 Ti 0.500 0.000 0.530
Ti3 Ti 0.500 0.500 0.830
```



## Cr3Pt (GGA-PBE)

Data for an optimized crystal structure of Cr3Pt.

Properties
Calculated total energy   -8.766 eV/atom
Energy of formation from the pure elements   -3 kJ/mol of formula units
SG   Pm-3n

Structure (CIF):
```
data_Cr3Pt
_chemical_formula_sum 'Cr6 Pt2'
_cell_length_a 4.677
_cell_length_b 4.677
_cell_length_c 4.677
_cell_angle_alpha 90.00
_cell_angle_beta 90.00
_cell_angle_gamma 90.00
_symmetry_space_group_name_H-M 'P 1'
_symmetry_Int_Tables_number 1
loop_
_symmetry_equiv_pos_as_xyz
'x,y,z'
loop_
_atom_site_label
_atom_site_type_symbol
_atom_site_fract_x
_atom_site_fract_y
_atom_site_fract_z
Cr1 Cr 0.250 0.000 0.500
Cr2 Cr 0.000 0.500 0.750
Cr3 Cr 0.750 0.000 0.500
Cr4 Cr 0.500 0.250 0.000
Pt1 Pt 0.000 0.000 0.000
Cr5 Cr 0.000 0.500 0.250
Cr6 Cr 0.500 0.750 0.000
Pt2 Pt 0.500 0.500 0.500
```



Repeat the first record exactly.
## MgTi3 (GGA-PBE)

Data for an optimized crystal structure of MgTi3.

Properties
Calculated total energy   -6.181 eV/atom
Energy of formation from the pure elements   54 kJ/mol of formula units
SG   Pmm2

Structure (CIF):
```
data_MgTi3
_chemical_formula_sum 'Mg1 Ti3'
_cell_length_a 2.857
_cell_length_b 4.859
_cell_length_c 5.280
_cell_angle_alpha 90.00
_cell_angle_beta 90.00
_cell_angle_gamma 90.00
_symmetry_space_group_name_H-M 'P 1'
_symmetry_Int_Tables_number 1
loop_
_symmetry_equiv_pos_as_xyz
'x,y,z'
loop_
_atom_site_label
_atom_site_type_symbol
_atom_site_fract_x
_atom_site_fract_y
_atom_site_fract_z
Ti1 Ti 0.000 0.000 0.984
Mg1 Mg 0.000 0.500 0.323
Ti2 Ti 0.500 0.000 0.530
Ti3 Ti 0.500 0.500 0.830
```